Entry 1:
## CaPb2WO6 (r2SCAN)

Data for crystalline CaPb2WO6 at its relaxed geometry.

Lattice parameters (Å, degrees): 8.3146 8.3146 8.3146 90.00 90.00 90.00
Space group Fm-3m (No. 225)
One atom of each set of equivalent atoms:
Ca 0.0000 0.0000 0.0000 [4 per cell]
Pb 0.2500 0.2500 0.2500 [8 per cell]
W 0.0000 0.0000 0.5000 [4 per cell]
O 0.0000 0.0000 0.2692 [24 per cell]

---

Entry 2:
## AcSnHg2 (r2SCAN)

Data for crystalline AcSnHg2 at its relaxed geometry.

Lattice parameters (Å, degrees): 7.6701 7.6701 7.6701 90.00 90.00 90.00
Space group Fm-3m (No. 225)
One atom of each set of equivalent atoms:
Ac 0.0000 0.0000 0.0000 [4 per cell]
Sn 0.0000 0.0000 0.5000 [4 per cell]
Hg 0.2500 0.2500 0.2500 [8 per cell]

---

Entry 3:
## PrEr3 (r2SCAN)

Data for crystalline PrEr3 at its relaxed geometry.

Summary:
The value obtained for the offset from the most stable computed form is 0.00 eV per formula unit.

Lattice parameters (Å, degrees): 7.2624 7.2624 5.7215 90.00 90.00 120.00
Space group P6_3/mmc (No. 194)
One atom of each set of equivalent atoms:
Pr 0.3333 0.6667 0.2500 [2 per cell]
Er 0.1645 0.3291 0.7500 [6 per cell]

---

Entry 4:
## Ho4MnS7 (r2SCAN)

Data for crystalline Ho4MnS7 at its relaxed geometry.

Lattice parameters (Å, degrees): 12.4792 3.7761 11.4112 90.00 105.01 90.00
Space group Cm (No. 8)
One atom of each set of equivalent atoms:
Ho 0.0000 0.0000 0.0000 [2 per cell]
Ho 0.0794 0.5000 0.3634 [2 per cell]
Ho 0.1935 0.5000 0.8012 [2 per cell]
Ho 0.3865 0.0000 0.5969 [2 per cell]
Mn 0.3078 0.5000 0.2169 [2 per cell]
S 0.0336 0.0000 0.7436 [2 per cell]
S 0.1574 0.5000 0.0194 [2 per cell]
S 0.1976 0.0000 0.2925 [2 per cell]
S 0.2309 0.5000 0.5807 [2 per cell]
S 0.3540 0.0000 0.8470 [2 per cell]
S 0.4260 0.0000 0.1486 [2 per cell]
S 0.4497 0.5000 0.4361 [2 per cell]

---

Entry 5:
## Ir3W (r2SCAN)

Data for crystalline Ir3W at its relaxed geometry.

Lattice parameters (Å, degrees): 5.5152 5.5152 4.4092 90.00 90.00 120.00
Space group P6_3/mmc (No. 194)
One atom of each set of equivalent atoms:
Ir 0.1662 0.3325 0.2500 [6 per cell]
W 0.3333 0.6667 0.7500 [2 per cell]

---

Entry 6:
## MgAlRh2 (r2SCAN)

Data for crystalline MgAlRh2 at its relaxed geometry.

Lattice parameters (Å, degrees): 6.0448 6.0448 6.0448 90.00 90.00 90.00
Space group Fm-3m (No. 225)
One atom of each set of equivalent atoms:
Mg 0.0000 0.0000 0.0000 [4 per cell]
Al 0.0000 0.0000 0.5000 [4 per cell]
Rh 0.2500 0.2500 0.2500 [8 per cell]

---

Entry 7:
## RbTh3F13 (r2SCAN)

Data for crystalline RbTh3F13 at its relaxed geometry.

Lattice parameters (Å, degrees): 8.1625 7.4465 8.6597 90.00 90.00 90.00
Space group Pmc2_1 (No. 26)
One atom of each set of equivalent atoms:
Rb 0.0000 0.1059 0.0000 [2 per cell]
Th 0.2469 0.3969 0.3584 [4 per cell]
Th 0.5000 0.1078 0.6925 [2 per cell]
F 0.0000 0.2274 0.3246 [2 per cell]
F 0.0000 0.4367 0.8456 [2 per cell]
F 0.1957 0.4522 0.0960 [4 per cell]
F 0.2443 0.1742 0.5494 [4 per cell]
F 0.3041 0.1154 0.2357 [4 per cell]
F 0.3261 0.3041 0.8280 [4 per cell]
F 0.5000 0.0322 0.9560 [2 per cell]
F 0.5000 0.3624 0.5143 [2 per cell]
F 0.5000 0.4016 0.2334 [2 per cell]

---

Entry 8:
## La4BiPb2 (r2SCAN)

Data for crystalline La4BiPb2 at its relaxed geometry.

Lattice parameters (Å, degrees): 9.9207 9.9207 9.8945 90.00 90.00 90.00
Space group I-42d (No. 122)
One atom of each set of equivalent atoms:
La 0.0711 0.6795 0.4424 [16 per cell]
Bi 0.0000 0.0000 0.5000 [4 per cell]
Pb 0.1266 0.7500 0.1250 [8 per cell]

---

Entry 9:
## Tm2GaRu (r2SCAN)

Data for crystalline Tm2GaRu at its relaxed geometry.

Lattice parameters (Å, degrees): 6.8287 6.8287 6.8287 90.00 90.00 90.00
Space group Fm-3m (No. 225)
One atom of each set of equivalent atoms:
Tm 0.2500 0.2500 0.2500 [8 per cell]
Ga 0.0000 0.0000 0.0000 [4 per cell]
Ru 0.0000 0.0000 0.5000 [4 per cell]

---

Entry 10:
## ZnB3Ir4 (r2SCAN)

Data for crystalline ZnB3Ir4 at its relaxed geometry.

Lattice parameters (Å, degrees): 2.8035 2.8328 23.2921 90.00 90.00 90.00
Space group Pmmm (No. 47)
One atom of each set of equivalent atoms:
Zn 0.0000 0.0000 0.0000 [1 per cell]
Zn 0.5000 0.0000 0.5000 [1 per cell]
B 0.0000 0.0000 0.1212 [2 per cell]
B 0.0000 0.5000 0.2397 [2 per cell]
B 0.5000 0.0000 0.3769 [2 per cell]
Ir 0.0000 0.0000 0.3071 [2 per cell]
Ir 0.0000 0.5000 0.4173 [2 per cell]
Ir 0.5000 0.0000 0.1962 [2 per cell]
Ir 0.5000 0.5000 0.0837 [2 per cell]

---

| no. | energy of formation from the pure elements (meV per atom) |
| --- | --- |
| 1 | -2094.7 |
| 2 | -482.4 |
| 3 | 23.8 |
| 4 | -2151.6 |
| 5 | -370.8 |
| 6 | -895.6 |
| 7 | -4313.5 |
| 8 | -935.0 |
| 9 | -569.6 |
| 10 | -296.4 |